ZnH24Au2C12S8N4Cl4 PBE relaxed; E_form = -0.30 eV per atom; MP2020-corrected energy = -5.27 eV per atom; calculated density = 2.1 g/cm3; volume = 15.28 Å³ per atom; uncorrected energy = -5.156 eV per atom
1.0
8.648 -5.226 0.000
8.648 5.226 0.000
-7.397 0.000 18.595
Zn H Au C S N Cl
2 48 4 24 16 8 8
direct
0.032 0.968 0.750
0.968 0.032 0.250
0.002 0.715 0.031
0.059 0.869 0.071
0.092 0.764 0.983
0.098 0.279 0.157
0.131 0.941 0.429
0.154 0.321 0.092
0.155 0.434 0.181
0.166 0.727 0.353
0.187 0.531 0.755
0.236 0.908 0.517
0.273 0.834 0.147
0.275 0.691 0.180
0.279 0.098 0.657
0.285 0.998 0.469
0.286 0.351 0.784
0.309 0.725 0.320
0.321 0.154 0.592
0.345 0.564 0.355
0.351 0.286 0.284
0.379 0.413 0.744
0.413 0.379 0.244
0.434 0.155 0.681
0.436 0.655 0.145
0.469 0.813 0.745
0.531 0.187 0.255
0.564 0.345 0.855
0.566 0.845 0.319
0.587 0.621 0.756
0.621 0.587 0.256
0.649 0.714 0.716
0.655 0.436 0.645
0.679 0.846 0.408
0.691 0.275 0.680
0.714 0.649 0.216
0.715 0.002 0.531
0.721 0.902 0.343
0.725 0.309 0.820
0.727 0.166 0.853
0.764 0.092 0.483
0.813 0.469 0.245
0.834 0.273 0.647
0.845 0.566 0.819
0.846 0.679 0.908
0.869 0.059 0.571
0.902 0.721 0.843
0.908 0.236 0.017
0.941 0.131 0.929
0.998 0.285 0.969
0.205 0.448 0.457
0.448 0.205 0.957
0.552 0.795 0.043
0.795 0.552 0.543
0.085 0.403 0.631
0.089 0.756 0.036
0.175 0.318 0.149
0.244 0.911 0.464
0.269 0.413 0.743
0.289 0.689 0.361
0.304 0.510 0.034
0.311 0.711 0.139
0.318 0.176 0.649
0.403 0.085 0.131
0.413 0.269 0.243
0.490 0.696 0.466
0.510 0.304 0.534
0.587 0.731 0.757
0.597 0.915 0.869
0.682 0.824 0.351
0.689 0.289 0.861
0.696 0.490 0.966
0.711 0.311 0.639
0.731 0.587 0.257
0.756 0.089 0.536
0.825 0.682 0.851
0.911 0.244 0.964
0.915 0.597 0.369
0.017 0.318 0.546
0.039 0.410 0.345
0.218 0.431 0.952
0.318 0.017 0.046
0.380 0.482 0.567
0.410 0.039 0.845
0.431 0.218 0.452
0.482 0.380 0.067
0.518 0.620 0.933
0.569 0.782 0.548
0.590 0.961 0.155
0.620 0.518 0.433
0.682 0.983 0.954
0.782 0.569 0.048
0.961 0.590 0.655
0.983 0.682 0.454
0.218 0.335 0.672
0.239 0.653 0.068
0.335 0.218 0.172
0.347 0.761 0.432
0.653 0.239 0.568
0.665 0.782 0.828
0.761 0.347 0.932
0.782 0.665 0.328
0.027 0.214 0.789
0.135 0.844 0.844
0.156 0.865 0.656
0.214 0.027 0.289
0.786 0.973 0.711
0.844 0.135 0.344
0.865 0.156 0.156
0.973 0.786 0.211